1.
BaCuO6: optimized geometry, GGA-PBE.

Geometry as extended XYZ:
```
64
Lattice="9.249 0.000 0.000 -0.091 10.399 0.000 -4.587 -5.075 12.672" Properties=species:S:1:pos:R:3 pbc="T T T"
O 4.014 6.334 1.316
Ba 2.088 5.359 5.890
O 4.037 1.603 3.343
O 1.613 2.642 5.437
O -1.874 -2.572 7.224
O 3.942 3.669 3.258
O 6.358 7.917 5.122
Cu 4.845 2.491 7.746
Cu 0.039 -2.608 11.911
Cu 4.679 2.535 11.451
O 1.615 2.586 1.113
O 2.053 -2.406 12.089
O -1.773 -2.654 11.807
O 5.702 -1.989 9.519
O -0.543 1.558 9.488
O 7.260 2.642 5.186
O -0.056 5.966 7.261
Cu 4.540 7.737 5.233
Cu -0.056 -2.646 7.239
O -0.685 3.691 9.564
O 4.518 4.315 11.298
O -2.661 2.679 7.466
Ba -2.375 -0.056 12.177
Cu -0.169 2.799 0.891
O 0.687 1.651 9.434
Ba 6.848 5.180 6.363
O -0.705 6.829 3.120
O -0.644 8.963 3.116
O 3.001 7.273 1.369
O 0.057 1.033 0.999
O 0.184 -0.889 7.427
O 4.113 4.186 8.274
O -0.055 4.584 0.928
Ba 6.861 5.510 0.062
O 4.506 9.851 1.132
O 4.629 0.793 7.330
Ba -2.408 5.234 12.538
O 2.890 2.823 11.362
Ba 2.456 0.017 6.098
O 5.160 3.714 3.049
O 4.514 0.735 11.399
O 0.096 1.023 5.193
Ba -2.211 0.109 6.413
O 4.540 5.973 5.470
Ba 6.986 10.294 0.080
O 5.624 -3.219 9.526
O 3.135 3.266 8.144
O 1.755 -2.449 7.271
O 4.908 -0.908 4.996
O 2.725 7.899 5.167
O 0.591 8.936 3.087
O 0.540 3.767 9.508
Cu -0.176 2.785 5.215
O 0.525 6.783 3.108
O -0.234 4.565 4.998
O 0.158 -4.382 11.740
O 5.247 1.645 3.133
Cu 4.706 8.091 1.200
O 6.471 7.928 1.052
O 7.121 2.724 0.733
O 0.157 -0.841 11.797
O -2.777 2.598 11.611
O 3.574 -1.839 9.505
O 3.480 -3.065 9.512
```

Output
symmetry: P1 (1)
M_tot: 3.000 μB/f.u.

---

2.
Ba2CuO6: optimized geometry, GGA-PBE.

Geometry as extended XYZ:
```
18
Lattice="6.705 0.000 0.000 0.000 5.334 0.000 0.000 5.283 8.726" Properties=species:S:1:pos:R:3 pbc="T T T"
O 3.526 5.126 1.848
Ba 0.452 5.147 6.647
O 6.532 7.767 6.211
Ba 3.805 8.110 6.441
Ba 6.253 5.469 2.078
Cu 3.353 0.000 0.000
O 2.176 9.168 8.632
Cu 0.000 2.641 4.363
O 3.180 5.490 6.877
O 0.173 2.849 2.514
O 1.683 0.746 0.301
O 1.670 3.387 4.664
O 4.530 1.448 0.094
O 1.177 6.527 4.269
O 5.528 4.089 4.457
O 5.023 9.870 8.424
O 5.035 7.229 4.062
Ba 2.901 2.506 2.284
```

Output
symmetry: P2_1/c (14)
M_tot: 2.998 μB/f.u.

---

3.
Ba2CuP2O9: optimized geometry, GGA-PBE.

Geometry as extended XYZ:
```
28
Lattice="-0.525 -5.744 0.796 2.545 -1.339 -7.988 8.980 -0.906 -0.621" Properties=species:S:1:pos:R:3 pbc="T T T"
O 2.039 -2.392 -5.274
O 6.999 -3.821 -0.227
Ba 2.640 -4.827 -1.150
Ba 2.460 -5.452 -5.779
O 5.324 -5.147 -1.688
O 7.366 -6.112 -7.310
Ba 8.361 -3.162 -6.663
O 7.382 -4.334 -4.062
Cu 5.763 -1.122 -4.304
O 4.229 -1.684 -7.930
Cu 5.501 -3.994 -3.907
O 5.677 -2.842 -6.125
O 7.146 -6.921 -3.703
P 4.985 -2.972 -7.514
O 5.124 -5.549 -4.726
O 1.963 -2.035 -2.748
O 4.002 -4.168 -7.586
P 6.016 -5.017 -0.299
O 3.855 -1.068 -4.110
O 3.619 -3.655 -3.751
O 8.962 -5.597 -2.540
P 8.158 -5.703 -3.838
P 2.843 -2.286 -3.975
Ba 8.541 -2.537 -2.034
O 5.877 -2.440 -3.087
O 9.038 -5.954 -5.066
O 6.772 -6.305 0.117
O 3.635 -1.877 -0.503
```

Output
energy above the lowest structure with this stoichiometry: 0 meV/atom
symmetry: P2_1/m (11)
M_tot: 1.001 μB/f.u.

---

4.
Ba2CuP6O18: optimized geometry, GGA-PBE.

Geometry as extended XYZ:
```
108
Lattice="7.441 0.000 0.000 0.000 9.690 0.000 0.000 3.033 21.489" Properties=species:S:1:pos:R:3 pbc="T T T"
O 2.453 4.867 7.475
O 6.174 6.339 3.270
O 3.447 5.213 16.703
P 4.144 1.756 5.530
O 6.907 0.730 1.776
O 2.753 3.894 1.099
O 3.784 6.351 12.270
O 5.482 5.017 5.673
P 6.258 8.894 9.898
P 7.132 6.419 8.468
O 5.417 9.274 8.578
O 6.764 8.532 4.707
O 6.184 6.002 12.660
O 1.852 8.697 5.192
O 0.826 8.882 17.788
P 7.017 3.273 16.275
P 2.538 2.312 0.846
O 3.862 1.594 0.794
Ba 1.103 7.029 0.239
O 3.053 2.333 14.767
O 6.773 11.906 17.467
O 2.895 7.365 7.043
Cu 1.261 5.946 16.199
O 3.993 7.510 4.786
O 3.043 2.674 6.038
O 3.187 10.476 8.969
O 5.573 2.509 5.552
O 3.578 11.128 20.695
Ba 4.824 4.177 10.506
O 4.254 2.246 12.520
P 1.084 7.730 18.882
O 0.142 9.612 9.950
P 4.805 6.509 13.352
O 5.793 3.655 19.400
P 2.900 2.112 13.174
O 4.688 8.828 20.390
Ba 2.878 3.889 19.004
O 2.024 3.448 12.912
Cu 4.982 8.293 16.035
P 6.356 4.992 2.608
P 6.379 3.845 5.307
O 7.377 4.835 1.525
Ba 0.842 2.373 8.259
P 4.782 5.361 16.052
O 5.745 10.791 19.322
O 0.288 10.173 6.498
O 7.153 2.549 14.992
P 6.620 12.127 19.060
O 1.257 6.720 8.829
O 6.473 7.312 9.646
O 7.299 3.110 11.539
O 0.668 0.816 4.023
O 4.977 4.486 1.915
O 4.349 6.508 19.539
O 4.546 5.357 14.446
O 3.432 11.689 17.242
O 0.677 4.190 16.783
O 2.090 3.695 10.393
P 0.309 6.304 13.021
O 4.388 10.390 6.722
Ba 6.337 5.694 21.250
Cu 2.459 4.430 5.454
O 0.273 3.696 5.958
P 1.183 3.828 11.591
P 3.296 10.966 15.959
P 1.061 8.878 16.182
O 1.630 5.211 21.138
O 5.680 6.533 16.418
O 7.168 9.026 15.531
O 4.398 10.049 15.451
O 2.463 8.237 19.574
P 2.659 7.361 5.438
O 5.368 2.138 8.655
P 4.541 10.611 8.316
O 1.696 1.932 2.167
O 1.868 10.214 15.937
O 0.594 5.692 14.361
P 2.636 6.214 8.137
P 0.820 0.595 2.429
O 3.091 6.214 1.950
O 0.629 7.730 12.695
O 1.648 9.068 2.089
O 1.267 6.383 18.219
Ba 6.599 10.349 13.230
O 0.968 5.411 11.844
P 3.412 4.787 2.277
O 3.657 6.371 9.219
O 6.615 3.841 3.702
O 0.534 11.992 19.713
O 4.314 8.547 17.873
O 0.064 7.887 19.964
O 6.847 7.031 7.128
O 5.351 9.028 11.096
O 4.987 7.856 14.015
O 5.588 4.025 16.297
Cu 6.179 6.776 5.290
Ba 2.617 8.545 10.984
O 5.810 7.511 0.352
O 6.812 4.992 8.794
P 4.903 10.411 20.643
P 4.029 7.935 19.213
O 1.761 6.189 5.072
O 4.008 1.033 4.247
Ba 4.562 8.833 2.485
O 3.127 4.175 3.616
O 1.959 7.706 15.816
P 0.424 9.450 5.214
O 2.072 10.584 12.834
```

Output
symmetry: P2_1/c (14)
M_tot: 1.029 μB/f.u.

---

5.
Ba2CuP2O9: optimized geometry, GGA-PBE.

Geometry as extended XYZ:
```
28
Lattice="3.308 -3.849 6.804 3.471 -7.168 2.937 12.560 -1.053 1.431" Properties=species:S:1:pos:R:3 pbc="T T T"
O 12.893 -3.391 3.476
Ba 7.973 -6.189 7.236
P 2.788 -4.774 2.436
O 10.117 -8.345 7.521
O 6.558 -6.359 4.543
O 10.077 -4.359 5.919
O 6.445 -8.679 7.696
Ba 5.009 -3.785 5.049
O 13.960 -6.403 4.149
O 7.586 -3.968 5.658
P 8.982 -3.544 5.198
P 16.550 -7.296 8.736
O 3.882 -5.565 3.185
Ba 14.330 -8.284 6.123
O 12.724 -9.182 8.439
O 16.393 -8.805 8.314
O 5.379 -5.666 7.023
O 6.615 -2.888 2.733
O 12.781 -5.710 6.629
O 9.262 -7.710 5.253
O 11.752 -8.102 5.514
Cu 1.654 -1.925 3.402
O 9.222 -3.724 3.651
O 2.945 -3.264 2.858
O 15.457 -6.505 7.987
P 10.357 -8.526 5.974
Ba 11.366 -5.881 3.936
Cu 8.015 -4.110 2.184
```

Output
energy above the lowest structure with this stoichiometry: 100 meV/atom
symmetry: C2/c (15)
M_tot: 1.048 μB/f.u.

---

6.
Ba2CuP2O8: optimized geometry, GGA-PBE.

Geometry as extended XYZ:
```
13
Lattice="-6.339 1.176 -1.789 -4.088 -2.534 -4.651 -3.684 -4.875 3.420" Properties=species:S:1:pos:R:3 pbc="T T T"
O -1.136 -0.918 0.296
P -11.628 -4.601 -3.182
Cu -7.055 -3.116 -1.510
Ba -9.412 -2.170 -4.590
O -6.595 -2.314 0.231
O -10.866 -5.107 -1.926
O -8.669 -2.018 -1.784
O -7.516 -3.919 -3.251
O -3.245 -1.125 -1.094
O -12.974 -5.314 -3.317
P -2.482 -1.631 0.162
Ba -4.698 -4.062 1.570
O -5.441 -4.214 -1.236
```

Output
symmetry: C2/m (12)

---

7.
Ba2Cu2Te2P2O13: optimized geometry, GGA-PBE.

Geometry as extended XYZ:
```
42
Lattice="6.283 -7.059 2.076 9.563 -1.097 -0.976 2.688 2.836 8.430" Properties=species:S:1:pos:R:3 pbc="T T T"
O 7.711 -1.960 7.604
Cu 4.781 -0.549 -0.488
O 7.885 -4.659 3.318
O 12.870 -5.264 8.366
O 5.663 -0.056 1.163
O 5.273 -1.788 6.991
Ba 7.699 -0.392 5.109
O 9.749 -6.129 1.856
O 15.466 -3.450 8.365
Ba 10.834 -4.927 4.420
O 4.138 1.575 7.092
O 13.575 -5.862 4.659
Cu 4.485 -2.111 5.253
P 2.680 -1.637 2.632
O 2.639 -0.126 3.022
P 5.086 1.711 5.859
O 4.958 0.543 4.871
O 6.235 -2.800 4.581
O 15.894 -5.193 6.507
Te 7.920 -6.413 2.259
O 8.715 -2.736 0.255
Ba 5.491 -3.381 1.698
Cu 9.233 -2.209 2.064
O 12.298 -2.519 4.949
O 10.822 -3.359 1.926
Cu 9.300 -3.110 7.466
O 9.818 -2.583 9.275
O 8.702 -3.783 5.732
Ba 13.041 -1.939 7.831
Te 10.613 1.093 7.270
P 15.853 -3.682 6.897
O 8.784 0.809 7.674
P 13.447 -7.031 3.670
O 3.067 -1.869 1.165
O 14.395 -6.894 2.437
O 10.648 -0.660 6.212
Te 11.522 -0.890 4.373
O 11.034 -3.998 7.194
O 7.499 -1.321 2.335
Te 7.010 -4.430 5.156
O 13.259 -3.532 2.538
O 9.831 -1.537 3.798
```

Output
symmetry: C2/c (15)
M_tot: 2.001 μB/f.u.

---

8.
Ba4Pr2Cu6O15: optimized geometry, GGA-PBE.

Geometry as extended XYZ:
```
27
Lattice="-3.995 3.963 0.000 -3.995 -3.963 0.000 -3.995 0.000 11.684" Properties=species:S:1:pos:R:3 pbc="T T T"
O -1.997 0.000 4.278
Cu -8.004 0.000 7.652
Cu -3.911 0.000 0.000
O -3.995 -1.982 4.327
Ba -5.992 2.045 2.049
O -3.995 1.982 4.327
O -3.995 1.982 0.000
O -4.126 0.000 1.897
Pr -5.992 1.982 5.842
O -7.858 0.000 1.897
Cu -3.979 0.000 7.652
O -5.992 0.000 7.405
Ba -5.992 -2.045 2.049
O -3.863 0.000 9.786
O -8.120 0.000 9.786
Ba -5.992 1.918 9.634
Ba -5.992 -1.918 9.634
O -5.992 0.000 4.330
O -9.986 0.000 7.353
O -7.989 1.982 7.357
Cu -7.974 0.000 4.032
O -7.989 -1.982 7.357
O -3.995 -1.982 0.000
Cu -0.084 0.000 0.000
Pr -5.992 -1.982 5.842
Cu -4.010 0.000 4.032
O -1.997 0.000 0.000
```

Output
symmetry: Fmmm (69)
M_tot: 0.004 μB/f.u.

---

It is found that the ΔH_f (0 K) values, taken in the order of the records, are -0.69 -1.45 -2.64 -2.74 -2.54 -2.88 -2.28 -2.08 eV/atom.